DFT (GGA+U) results for a geometry-optimized Li9Mn2Co5O16 structure.

Cell and atoms, written as POSCAR:
```
Li9Mn2Co5O16
1.0
0.417 1.288 2.647
-7.139 6.691 -2.119
-3.691 -9.484 3.616
O Co Li Mn
16 5 9 2
direct
0.552 0.964 0.109
0.191 0.178 0.382
0.434 0.026 0.890
0.949 0.788 0.895
0.307 0.071 0.617
0.927 0.279 0.875
0.679 0.903 0.380
0.466 0.545 0.889
0.833 0.346 0.617
0.819 0.830 0.617
0.035 0.207 0.111
0.573 0.470 0.121
0.309 0.581 0.613
0.668 0.420 0.386
0.191 0.669 0.388
0.065 0.723 0.109
0.245 0.884 0.498
0.750 0.625 0.500
0.255 0.365 0.501
0.469 0.259 0.997
0.028 0.489 0.999
0.140 0.946 0.270
0.366 0.810 0.739
0.877 0.554 0.743
0.630 0.200 0.260
0.864 0.059 0.738
0.370 0.305 0.739
0.752 0.125 0.501
0.631 0.688 0.261
0.125 0.440 0.252
0.511 0.747 0.001
0.991 0.005 0.002
```

Computed properties:
* distance to the lowest polymorph of the same formula: 214 meV/atom
* ΔE_f: -1.65 eV/atom
* energy: -5.640 eV/atom
* total magnetization: 0.30 μB per cell
* SG: P1, No. 1

DFT (GGA+U) results for a geometry-optimized ZnWO2 structure.

Cell and atoms, written as POSCAR:
```
ZnWO2
1.0
-0.923 -2.789 -0.590
6.046 -1.783 5.180
-6.072 0.810 6.139
W Zn O
4 4 8
direct
0.436 0.319 0.417
0.030 0.569 0.267
0.970 0.431 0.733
0.564 0.681 0.583
0.785 0.934 0.291
0.326 0.131 0.047
0.215 0.066 0.709
0.674 0.869 0.953
0.409 0.285 0.834
0.546 0.610 0.813
0.652 0.913 0.713
0.903 0.223 0.565
0.454 0.390 0.187
0.097 0.777 0.435
0.348 0.087 0.287
0.591 0.715 0.166
```

Computed properties:
* ΔE_f: -1.07 eV/atom
* energy: -5.643 eV/atom
* total magnetization: 5.98 μB per cell
* SG: P-1, No. 2

DFT (GGA+U) results for a geometry-optimized BaLaMnInO6 structure.

Cell and atoms, written as POSCAR:
```
BaLaMnInO6
1.0
5.855 0.000 0.000
0.000 8.180 0.000
0.000 0.000 11.390
O Ba Mn La In
24 4 4 4 4
direct
0.530 0.279 0.253
0.141 0.500 0.129
0.470 0.279 0.747
0.281 0.000 0.630
0.500 0.258 0.500
0.859 0.500 0.871
0.000 0.242 0.500
0.530 0.721 0.253
0.000 0.823 0.000
0.500 0.323 0.000
0.970 0.779 0.253
0.030 0.779 0.747
0.970 0.221 0.253
0.719 0.000 0.370
0.781 0.500 0.370
0.500 0.677 0.000
0.000 0.758 0.500
0.030 0.221 0.747
0.359 0.000 0.129
0.500 0.742 0.500
0.000 0.177 0.000
0.470 0.721 0.747
0.641 0.000 0.871
0.219 0.500 0.630
0.748 0.000 0.618
0.252 0.000 0.382
0.752 0.500 0.618
0.248 0.500 0.382
0.750 0.250 0.378
0.750 0.750 0.378
0.250 0.750 0.622
0.250 0.250 0.622
0.761 0.000 0.140
0.739 0.500 0.140
0.239 0.000 0.860
0.261 0.500 0.860
0.750 0.750 0.875
0.250 0.250 0.125
0.750 0.250 0.875
0.250 0.750 0.125
```

Computed properties:
* distance to the lowest polymorph of the same formula: 0 meV/atom
* ΔE_f: -2.63 eV/atom
* energy: -6.900 eV/atom
* total magnetization: 12.00 μB per cell
* SG: Pmna, No. 53

DFT (GGA+U) results for a geometry-optimized Li5Mn3O8 structure.

Cell and atoms, written as POSCAR:
```
Li5Mn3O8
1.0
0.178 -0.203 5.129
2.386 9.747 1.845
-5.756 -0.343 0.185
Li O Mn
10 16 6
direct
0.250 0.250 0.125
0.750 0.750 0.875
0.750 0.750 0.375
0.750 0.250 0.875
0.750 0.250 0.375
0.497 0.012 0.759
0.250 0.250 0.625
0.003 0.488 0.491
0.497 0.011 0.258
0.003 0.489 0.991
0.162 0.629 0.814
0.871 0.889 0.197
0.108 0.110 0.308
0.629 0.611 0.053
0.630 0.610 0.553
0.108 0.110 0.808
0.162 0.629 0.313
0.338 0.871 0.937
0.870 0.890 0.697
0.392 0.390 0.442
0.392 0.390 0.942
0.338 0.871 0.437
0.649 0.115 0.560
0.851 0.385 0.690
0.649 0.116 0.061
0.851 0.384 0.189
0.250 0.750 0.625
0.528 0.490 0.743
0.972 0.010 0.007
0.972 0.010 0.508
0.250 0.750 0.125
0.528 0.490 0.243
```

Computed properties:
* distance to the lowest polymorph of the same formula: 37 meV/atom
* ΔE_f: -2.11 eV/atom
* energy: -6.246 eV/atom
* total magnetization: 12.01 μB per cell

DFT (GGA+U) results for a geometry-optimized CaMn3V4O12 structure.

Cell and atoms, written as POSCAR:
```
CaMn3V4O12
1.0
-3.760 3.807 -3.761
3.750 -3.805 -3.746
-3.759 -3.804 -3.758
O Mn V Ca
12 3 4 1
direct
0.103 0.802 0.714
0.295 0.486 0.810
0.897 0.198 0.286
0.199 0.710 0.104
0.815 0.710 0.489
0.705 0.514 0.190
0.484 0.198 0.699
0.298 0.104 0.194
0.702 0.896 0.806
0.801 0.290 0.895
0.186 0.290 0.511
0.515 0.802 0.301
0.000 0.500 0.500
0.500 0.500 0.000
0.500 0.000 0.500
0.000 0.500 0.000
0.500 0.500 0.500
0.500 0.000 0.000
0.000 0.000 0.500
0.000 0.000 0.000
```

Computed properties:
* distance to the lowest polymorph of the same formula: 8 meV/atom
* ΔE_f: -2.44 eV/atom
* energy: -7.697 eV/atom
* total magnetization: 5.00 μB per cell
* SG: C2/m, No. 12

DFT (GGA+U) results for a geometry-optimized CoH20C4SO10 structure.

Cell and atoms, written as POSCAR:
```
CoH20C4SO10
1.0
-2.273 -13.270 -1.173
10.810 -6.420 4.956
-3.307 -4.647 12.252
H O C Co S
120 60 24 6 6
direct
0.030 0.017 0.223
0.917 0.923 0.363
0.931 0.959 0.586
0.410 0.918 0.182
0.318 0.582 0.090
0.441 0.132 0.126
0.070 0.041 0.414
0.583 0.137 0.577
0.137 0.577 0.583
0.868 0.874 0.559
0.797 0.321 0.758
0.586 0.931 0.959
0.339 0.737 0.915
0.322 0.562 0.526
0.974 0.938 0.178
0.297 0.258 0.821
0.374 0.368 0.059
0.483 0.470 0.277
0.474 0.678 0.438
0.059 0.374 0.368
0.313 0.101 0.157
0.237 0.839 0.415
0.637 0.083 0.077
0.874 0.559 0.868
0.258 0.821 0.297
0.178 0.974 0.938
0.983 0.777 0.970
0.277 0.483 0.470
0.392 0.303 0.609
0.303 0.609 0.392
0.822 0.026 0.062
0.959 0.586 0.931
0.938 0.178 0.974
0.418 0.910 0.682
0.626 0.632 0.941
0.062 0.822 0.026
0.017 0.223 0.030
0.839 0.415 0.237
0.041 0.414 0.070
0.086 0.459 0.431
0.363 0.917 0.923
0.526 0.322 0.562
0.679 0.242 0.203
0.703 0.742 0.179
0.431 0.086 0.459
0.161 0.584 0.763
0.813 0.657 0.601
0.891 0.197 0.108
0.438 0.474 0.678
0.758 0.797 0.321
0.109 0.803 0.892
0.391 0.608 0.697
0.517 0.530 0.723
0.417 0.863 0.423
0.632 0.941 0.626
0.609 0.392 0.303
0.415 0.237 0.839
0.843 0.686 0.899
0.559 0.868 0.874
0.821 0.297 0.258
0.657 0.601 0.813
0.126 0.441 0.132
0.742 0.179 0.703
0.203 0.679 0.242
0.132 0.126 0.441
0.697 0.391 0.608
0.186 0.343 0.399
0.197 0.108 0.891
0.608 0.697 0.391
0.910 0.682 0.418
0.562 0.526 0.322
0.584 0.763 0.161
0.263 0.084 0.661
0.863 0.423 0.417
0.084 0.661 0.263
0.101 0.157 0.313
0.157 0.313 0.101
0.818 0.590 0.082
0.399 0.186 0.343
0.077 0.637 0.083
0.899 0.843 0.686
0.541 0.570 0.914
0.661 0.263 0.084
0.459 0.431 0.086
0.601 0.813 0.657
0.182 0.410 0.918
0.737 0.915 0.339
0.678 0.438 0.474
0.090 0.318 0.582
0.179 0.703 0.742
0.242 0.203 0.679
0.470 0.277 0.483
0.941 0.626 0.632
0.570 0.914 0.541
0.914 0.541 0.570
0.414 0.070 0.041
0.026 0.062 0.822
0.763 0.161 0.584
0.082 0.818 0.590
0.223 0.030 0.017
0.343 0.399 0.186
0.530 0.723 0.517
0.083 0.077 0.637
0.682 0.418 0.910
0.892 0.109 0.803
0.970 0.983 0.777
0.803 0.892 0.109
0.108 0.891 0.197
0.723 0.517 0.530
0.918 0.182 0.410
0.686 0.899 0.843
0.577 0.583 0.137
0.368 0.059 0.374
0.321 0.758 0.797
0.590 0.082 0.818
0.582 0.090 0.318
0.923 0.363 0.917
0.423 0.417 0.863
0.915 0.339 0.737
0.777 0.970 0.983
0.505 0.708 0.116
0.837 0.168 0.341
0.382 0.490 0.835
0.341 0.837 0.168
0.668 0.337 0.841
0.168 0.341 0.837
0.010 0.118 0.665
0.995 0.384 0.792
0.663 0.159 0.332
0.973 0.189 0.441
0.332 0.663 0.159
0.337 0.841 0.668
0.941 0.689 0.473
0.005 0.616 0.208
0.689 0.473 0.941
0.559 0.027 0.811
0.792 0.182 0.632
0.368 0.208 0.818
0.659 0.163 0.832
0.832 0.659 0.163
0.868 0.318 0.708
0.292 0.132 0.682
0.708 0.116 0.505
0.132 0.682 0.292
0.163 0.832 0.659
0.441 0.973 0.189
0.665 0.010 0.118
0.116 0.505 0.708
0.189 0.441 0.973
0.835 0.382 0.490
0.292 0.884 0.495
0.159 0.332 0.663
0.335 0.990 0.882
0.618 0.510 0.165
0.490 0.835 0.382
0.682 0.292 0.132
0.841 0.668 0.337
0.208 0.818 0.368
0.882 0.335 0.990
0.384 0.792 0.995
0.811 0.559 0.027
0.182 0.632 0.792
0.792 0.995 0.384
0.311 0.527 0.059
0.632 0.792 0.182
0.318 0.708 0.868
0.118 0.665 0.010
0.165 0.618 0.510
0.990 0.882 0.335
0.059 0.311 0.527
0.818 0.368 0.208
0.208 0.005 0.616
0.510 0.165 0.618
0.616 0.208 0.005
0.027 0.811 0.559
0.708 0.868 0.318
0.495 0.292 0.884
0.527 0.059 0.311
0.473 0.941 0.689
0.884 0.495 0.292
0.227 0.027 0.936
0.876 0.600 0.926
0.574 0.899 0.624
0.426 0.100 0.376
0.273 0.564 0.473
0.376 0.426 0.100
0.773 0.973 0.064
0.074 0.124 0.399
0.027 0.936 0.227
0.624 0.574 0.899
0.399 0.074 0.124
0.600 0.926 0.876
0.899 0.624 0.574
0.100 0.376 0.426
0.527 0.727 0.436
0.124 0.399 0.074
0.473 0.273 0.564
0.064 0.773 0.973
0.936 0.227 0.027
0.564 0.473 0.273
0.436 0.527 0.727
0.973 0.064 0.773
0.926 0.876 0.600
0.727 0.436 0.527
0.578 0.922 0.250
0.078 0.750 0.422
0.422 0.078 0.750
0.250 0.578 0.922
0.922 0.250 0.578
0.750 0.422 0.078
0.750 0.109 0.391
0.891 0.609 0.250
0.391 0.750 0.109
0.250 0.891 0.609
0.109 0.391 0.750
0.609 0.250 0.891
```

Computed properties:
* ΔE_f: -0.90 eV/atom
* energy: -5.265 eV/atom
* total magnetization: 18.01 μB per cell
* SG: R-3c, No. 167

DFT (GGA+U) results for a geometry-optimized Fe3OF5 structure.

Cell and atoms, written as POSCAR:
```
Fe3OF5
1.0
1.806 -5.151 1.859
3.148 1.063 4.714
-4.205 -1.800 5.894
F Fe O
10 6 2
direct
0.367 0.969 0.338
0.692 0.308 0.000
0.894 0.894 0.305
0.031 0.633 0.662
0.431 0.431 0.370
0.569 0.569 0.630
0.106 0.106 0.695
0.969 0.367 0.338
0.308 0.692 0.000
0.633 0.031 0.662
0.678 0.678 0.844
0.000 0.000 0.500
0.334 0.334 0.686
0.000 0.000 0.000
0.322 0.322 0.156
0.666 0.666 0.314
0.777 0.777 0.031
0.223 0.223 0.969
```

Computed properties:
* distance to the lowest polymorph of the same formula: 71 meV/atom
* ΔE_f: -2.32 eV/atom
* energy: -5.670 eV/atom
* total magnetization: 26.00 μB per cell
* SG: C2/m, No. 12